1.
# KHgI3

An optimized crystal structure of KHgI3 (PBE-GGA, the Materials Project).

As for the calculated volume: 990.8 Å³/cell. Its formation energy is -0.997 eV per atom.

a = 8.4952 Å, b = 9.2960 Å, c = 12.5462 Å
α = 90.00°, β = 90.00°, γ = 90.00°
Last column: nearest neighbours and their distance in Å.
Sites, in units of the cell vectors:
1 K 0.2136 0.4964 0.6391  5 I 3.52-3.79
2 K 0.7864 0.5036 0.1391  5 I 3.52-3.79
3 K 0.7136 0.0036 0.1391  5 I 3.52-3.79
4 K 0.2864 0.9964 0.6391  5 I 3.52-3.79
5 Hg 0.3110 0.7538 0.9955  4 I 2.79-2.96
6 Hg 0.6890 0.2462 0.4955  4 I 2.79-2.96
7 Hg 0.8110 0.7462 0.4955  4 I 2.79-2.96
8 Hg 0.1890 0.2538 0.9955  4 I 2.79-2.96
9 I 0.2323 0.5068 0.1343  2 Hg 2.95-2.96
10 I 0.7677 0.4932 0.6343  2 Hg 2.95-2.96
11 I 0.7323 0.9932 0.6343  2 Hg 2.95-2.96
12 I 0.2677 0.0068 0.1343  2 Hg 2.95-2.96
13 I 0.0978 0.7603 0.8257  1 Hg 2.80
14 I 0.9022 0.2397 0.3257  1 Hg 2.80
15 I 0.5978 0.7397 0.3257  1 Hg 2.80
16 I 0.4022 0.2603 0.8257  1 Hg 2.80
17 I 0.6306 0.7378 0.9454  1 Hg 2.79
18 I 0.3694 0.2622 0.4454  1 Hg 2.79
19 I 0.1306 0.7622 0.4454  1 Hg 2.79
20 I 0.8694 0.2378 0.9454  1 Hg 2.79

---

2.
# CeRh2

An optimized crystal structure of CeRh2 (PBE-GGA, the Materials Project).

As for the calculated volume: 109.3 Å³/cell. Its formation energy is -0.713 eV per atom.

a = 5.3675 Å, b = 5.3675 Å, c = 5.3675 Å
α = 60.00°, β = 60.00°, γ = 60.00°
Last column: nearest neighbours and their distance in Å.
Sites, in units of the cell vectors:
1 Ce 0.5000 0.5000 0.5000  12 Rh 3.15, 4 Ce 3.29
2 Ce 0.2500 0.2500 0.2500  12 Rh 3.15, 4 Ce 3.29
3 Rh 0.8750 0.8750 0.8750  6 Rh 2.68
4 Rh 0.8750 0.8750 0.3750  6 Rh 2.68
5 Rh 0.8750 0.3750 0.8750  6 Rh 2.68
6 Rh 0.3750 0.8750 0.8750  6 Rh 2.68

---

3.
# Tc

An optimized crystal structure of Tc (PBE-GGA, the Materials Project).

The energy above the most stable polymorph in this dataset comes out at 0.000 eV/f.u. As for the calculated volume: 29.2 Å³/cell. Its formation energy is 0.000 eV per atom.

a = 2.7607 Å, b = 2.7607 Å, c = 4.4213 Å
α = 90.00°, β = 90.00°, γ = 120.00°
Last column: nearest neighbours and their distance in Å.
Sites, in units of the cell vectors:
1 Tc 0.3333 0.6667 0.7500  12 Tc 2.73-2.76
2 Tc 0.6667 0.3333 0.2500  12 Tc 2.73-2.76